Entry 1:
Entry from the Materials Project database: a relaxed structure of P2O9 (PBE).

```
P2O9
1.0
-2.972 8.147 -0.204
-7.290 -2.525 5.397
7.841 3.163 12.071
P O
16 72
Cartesian
1.811 3.575 8.166
2.245 2.752 11.001
0.823 5.169 10.409
-0.602 6.146 3.593
-0.845 7.180 6.382
-5.764 5.187 10.238
-1.785 4.345 14.713
-0.371 2.524 9.720
-5.549 0.006 4.885
-0.259 6.809 15.095
-3.031 6.823 13.990
-3.488 1.008 3.145
-2.801 -0.878 5.351
-3.454 1.849 5.944
4.780 8.851 11.426
-1.079 8.934 4.055
3.919 9.477 10.213
-1.781 5.012 3.309
3.714 8.114 12.458
-0.969 1.121 9.050
-5.711 6.065 6.299
-1.515 8.426 5.566
2.223 1.967 12.469
-0.422 4.131 10.128
0.467 8.254 14.725
-3.167 6.846 0.546
-3.497 5.176 10.014
1.524 6.681 10.434
-1.223 7.586 3.161
-4.491 7.454 12.353
-0.206 5.963 11.444
-6.303 3.995 9.293
-1.484 7.345 14.115
-1.304 6.752 8.585
-1.040 3.334 13.617
1.786 4.270 11.360
-1.950 2.218 13.897
-5.028 0.471 3.434
-1.220 7.988 7.804
-7.346 2.971 7.558
4.999 5.192 13.284
-0.395 5.238 14.670
1.291 1.883 16.553
0.631 7.172 11.488
-3.252 2.095 4.314
-4.972 1.246 5.821
-3.907 2.418 7.436
0.740 7.443 6.275
-2.102 1.066 9.981
-6.079 4.705 3.227
-2.770 3.343 7.528
-7.040 0.658 5.203
-1.806 2.394 10.539
3.873 2.657 11.316
-1.153 5.904 7.396
-4.415 4.530 10.960
-5.103 -0.514 8.571
0.794 2.002 10.707
2.659 2.909 9.425
0.768 2.394 3.089
1.508 4.995 8.916
0.384 1.490 4.178
-4.569 5.976 9.403
-4.244 6.677 4.883
-1.045 6.070 5.168
-2.810 5.222 13.808
-3.027 7.483 12.467
-2.596 0.492 6.200
-4.440 -1.089 5.377
0.068 2.667 16.739
-2.743 -0.319 3.805
0.426 2.761 8.287
-0.980 6.894 16.533
-4.292 5.785 6.053
-6.513 3.327 3.467
-2.181 1.086 2.129
2.625 9.559 8.351
-6.753 6.430 9.758
-2.344 3.073 6.150
1.601 4.372 6.703
-1.252 4.663 1.984
3.708 5.072 13.973
-4.243 6.137 1.250
4.711 5.445 9.631
2.884 2.754 7.204
2.472 3.446 5.976
5.075 7.328 10.836
3.671 2.109 12.664
```

Computed properties:
* space-group type: No. 19
* offset from the most stable computed form: 144 meV/atom
* DFT formation energy: -0.871 eV/atom

***

Entry 2:
Entry from the Materials Project database: a relaxed structure of P2O5 (PBE).

```
P2O5
1.0
12.406 0.514 0.078
0.504 12.075 -0.127
0.072 -0.128 11.601
O P
75 30
Cartesian
10.645 0.619 8.269
6.040 11.553 4.699
9.874 5.345 10.308
10.588 11.894 3.428
4.850 3.163 7.242
5.918 5.660 4.147
12.440 4.006 8.322
6.098 6.125 11.235
1.161 2.369 0.465
11.398 2.586 1.976
4.052 10.167 2.144
10.106 5.741 1.222
8.746 6.724 8.515
0.356 4.319 1.910
7.533 4.495 9.508
11.565 6.052 6.954
2.851 6.951 2.963
7.463 11.949 6.730
5.715 3.710 0.478
11.538 3.937 11.489
5.478 8.935 3.855
3.037 4.583 8.325
7.267 1.750 10.653
4.765 7.304 5.653
3.222 0.937 0.336
9.895 4.284 7.552
7.937 9.866 10.500
11.436 7.052 2.936
3.956 8.056 0.844
11.363 7.679 5.560
1.292 7.535 5.710
0.486 9.976 5.966
1.585 2.278 6.251
12.245 8.435 7.877
3.325 7.184 8.663
2.856 2.100 8.491
9.176 0.434 5.832
7.373 7.461 5.086
7.390 2.262 6.010
8.902 3.648 0.389
6.530 9.783 1.532
1.338 5.978 7.459
1.863 9.658 0.865
0.533 1.204 3.856
11.481 0.631 10.740
4.116 10.095 11.218
8.185 1.374 3.650
7.901 9.966 5.178
12.208 10.569 9.173
10.612 8.626 9.843
6.722 5.462 1.914
11.881 11.163 1.510
11.996 6.875 0.157
5.885 9.946 6.779
2.392 9.366 4.254
4.397 1.826 5.223
4.129 5.549 1.203
6.331 3.266 3.241
6.264 5.759 6.727
1.409 0.132 7.867
12.326 9.204 3.855
8.980 9.970 8.036
2.789 2.380 2.529
1.873 6.820 0.634
8.543 1.402 8.102
10.170 8.367 1.159
4.632 3.282 9.820
5.528 11.743 9.881
10.447 2.198 4.645
8.334 4.772 3.866
10.837 10.878 0.939
0.750 8.044 10.244
1.556 5.713 9.970
9.908 11.368 9.999
9.688 8.574 4.047
11.307 12.045 9.491
3.264 6.806 1.576
6.021 1.961 11.389
8.567 5.497 9.288
11.183 8.198 4.094
6.730 10.788 5.947
11.318 4.667 7.660
8.940 10.198 9.485
4.023 3.255 8.448
11.907 2.758 4.263
1.134 9.087 4.982
5.497 9.580 2.551
5.170 10.315 9.872
9.962 4.581 0.043
1.000 6.695 11.043
8.510 8.494 5.605
6.894 4.699 3.323
5.748 5.252 0.658
10.860 7.107 1.398
9.463 0.926 4.327
4.884 0.906 4.218
3.323 9.591 0.819
11.922 9.072 9.307
12.285 3.630 1.280
12.615 7.379 6.725
8.007 1.132 6.718
2.481 5.999 8.533
1.846 1.457 7.432
6.058 6.540 5.462
2.480 1.863 1.195
```

Computed properties:
* space-group type: No. 1
* offset from the most stable computed form: 761 meV/atom
* DFT formation energy: -1.678 eV/atom